1.
Here is a geometry-optimized Ba3Al5 structure from the Materials Project database. Energies are from PBE-GGA.

Results
**ΔH_f (0 K)**: -0.2302 eV per atom

Cell and atoms, written as POSCAR:
```
Ba3Al5
1.0
3.039 -5.264 0.000
3.039 5.264 0.000
0.000 0.000 14.768
Al Ba
10 6
Cartesian
3.039 3.638 3.692 Al
3.039 -1.755 13.059 Al
3.039 1.755 1.708 Al
3.039 1.755 5.676 Al
4.670 0.813 3.692 Al
1.409 0.813 3.692 Al
4.670 -0.813 11.076 Al
3.039 -3.638 11.076 Al
1.409 -0.813 11.076 Al
3.039 -1.755 9.092 Al
0.000 0.000 7.384 Ba
3.039 -1.755 5.530 Ba
3.039 1.755 12.914 Ba
3.039 -1.755 1.854 Ba
0.000 0.000 0.000 Ba
3.039 1.755 9.237 Ba
```

2.
Here is a geometry-optimized TlAgAs2PbS5 structure from the Materials Project database. Energies are from PBE-GGA.

Results
**MP2020-corrected energy**: -4.378 eV per atom
**ΔH_f (0 K)**: -0.4876 eV per atom

Cell and atoms, written as POSCAR:
```
TlAgAs2PbS5
1.0
-0.094 3.992 7.084
1.816 -4.690 6.679
44.134 1.377 14.663
As Tl S Ag Pb
20 10 50 10 10
Cartesian
4.985 -0.897 13.792 As
2.293 0.393 7.054 As
43.513 0.233 21.397 As
23.342 0.994 8.755 As
14.516 0.718 5.821 As
32.179 1.270 11.693 As
11.107 0.620 10.015 As
5.695 0.446 2.885 As
25.859 -0.331 15.542 As
40.143 0.275 25.500 As
31.432 -0.052 22.580 As
22.611 -0.322 19.640 As
34.687 -0.059 18.474 As
8.201 -0.882 9.679 As
17.033 -0.607 12.610 As
13.786 -0.599 16.710 As
37.624 1.486 18.773 As
40.959 1.528 14.636 As
28.757 1.172 15.879 As
19.934 0.897 12.946 As
1.469 0.583 3.522 Tl
6.091 -0.957 6.612 Tl
14.918 -0.677 9.543 Tl
23.743 -0.402 12.475 Tl
10.222 0.851 6.457 Tl
27.871 1.402 12.322 Tl
36.710 1.674 15.260 Tl
32.572 -0.123 15.410 Tl
44.537 0.123 24.843 Tl
19.045 1.126 9.389 Tl
1.433 1.290 8.949 S
12.112 -0.839 15.203 S
38.662 -0.375 19.517 S
33.890 1.651 13.169 S
6.324 -2.243 9.768 S
23.982 -1.690 15.636 S
17.975 -1.377 10.708 S
30.673 2.542 15.886 S
6.497 0.241 12.492 S
33.722 1.888 17.797 S
42.630 1.805 16.154 S
15.156 -1.966 12.704 S
3.151 -1.509 7.877 S
35.624 -0.831 16.566 S
4.259 1.726 7.026 S
36.679 2.274 20.741 S
15.333 0.507 15.420 S
29.653 -0.689 16.724 S
7.404 0.821 4.357 S
29.762 -0.290 21.069 S
24.158 0.783 18.352 S
19.022 1.772 14.885 S
24.910 1.624 14.865 S
16.081 1.347 11.933 S
20.828 -0.965 13.791 S
32.977 1.059 21.288 S
39.483 0.315 15.890 S
27.848 2.050 17.818 S
41.635 1.451 24.239 S
10.193 1.491 11.955 S
20.938 -0.563 18.133 S
13.021 1.991 10.022 S
21.816 -0.238 9.901 S
30.647 0.037 12.829 S
4.175 -0.790 4.042 S
7.252 1.071 9.003 S
25.054 1.374 10.228 S
12.990 -0.514 6.968 S
12.007 -1.242 10.854 S
42.493 2.149 20.674 S
16.229 1.098 7.294 S
41.599 -1.128 21.444 S
3.275 -1.095 12.290 S
32.811 -1.420 18.570 S
21.849 2.267 12.954 S
38.473 -0.074 24.008 S
44.373 -0.563 19.467 S
26.801 -1.103 13.640 S
9.146 -1.651 7.779 S
39.471 2.891 18.793 S
8.359 2.685 10.616 Ag
17.181 2.962 13.549 Ag
10.987 -2.840 9.073 Ag
34.843 3.507 19.412 Ag
43.704 3.774 22.291 Ag
28.638 -2.288 14.937 Ag
19.811 -2.565 12.005 Ag
37.471 -1.992 17.874 Ag
2.182 -3.058 6.096 Ag
26.007 3.240 16.481 Ag
4.494 0.650 10.026 Pb
13.348 0.905 12.987 Pb
35.466 0.005 21.703 Pb
22.174 1.185 15.921 Pb
39.863 1.718 21.886 Pb
17.853 -0.555 15.794 Pb
9.007 -0.838 12.859 Pb
30.994 1.456 18.852 Pb
41.413 0.076 18.298 Pb
26.677 -0.279 18.726 Pb
```

3.
Here is a geometry-optimized TaN structure from the Materials Project database. Energies are from PBE-GGA.

Results
**MP2020-corrected energy**: -10.948 eV per atom
**ΔH_f (0 K)**: -0.8511 eV per atom

Cell and atoms, written as POSCAR:
```
TaN
1.0
-10.200 -2.853 0.364
-1.224 -0.775 -10.629
3.092 -10.833 0.735
Ta N
50 50
Cartesian
-1.738 -5.092 -2.305 Ta
-8.203 -10.774 -8.860 Ta
-2.742 -1.853 -3.022 Ta
-4.120 -5.525 -4.141 Ta
-7.536 -9.932 -2.949 Ta
-6.433 -2.171 -4.636 Ta
-4.700 -10.905 -5.304 Ta
-6.907 -5.714 -4.708 Ta
-9.124 -7.819 -4.034 Ta
-10.413 -3.766 -8.639 Ta
-7.118 -6.977 -1.680 Ta
-3.087 -6.781 -9.722 Ta
-7.623 -9.724 -5.935 Ta
-5.163 -9.541 -0.907 Ta
-0.651 -4.937 -9.540 Ta
-5.864 -12.344 -2.633 Ta
2.298 -9.671 -0.257 Ta
0.409 -1.846 -0.654 Ta
-8.277 -5.810 -9.997 Ta
0.953 -6.567 -0.644 Ta
-2.121 -10.389 -3.266 Ta
-9.805 -4.679 -3.181 Ta
-6.261 -3.419 -10.080 Ta
-5.333 -3.381 -2.313 Ta
-7.648 -3.883 -7.552 Ta
-3.901 -3.795 -7.839 Ta
-1.328 -8.814 -8.782 Ta
-1.815 -4.549 -5.686 Ta
-5.544 -12.160 -8.476 Ta
-6.521 -13.076 -5.420 Ta
0.929 -9.702 -2.943 Ta
-0.553 -11.150 0.214 Ta
-4.331 -5.706 -0.696 Ta
-2.088 -3.351 -0.258 Ta
-4.139 -9.564 -8.084 Ta
-1.493 -7.388 -4.099 Ta
-4.454 -8.508 -3.898 Ta
-1.934 -9.560 -5.906 Ta
-1.054 -1.737 -6.093 Ta
-0.144 -11.471 -7.877 Ta
0.873 -9.142 -5.852 Ta
-6.777 -8.321 -9.408 Ta
-8.706 -6.801 -7.298 Ta
-3.325 -7.144 -6.609 Ta
-8.083 -2.468 -0.691 Ta
-5.778 -5.926 -8.313 Ta
-2.893 -12.244 -7.171 Ta
-2.371 -8.051 -1.296 Ta
-0.301 -6.837 -7.144 Ta
-3.221 -11.480 -0.919 Ta
-3.118 -6.795 -2.806 N
-7.003 -5.664 -6.701 N
-5.573 -7.037 -4.705 N
0.034 -7.010 -9.199 N
-2.658 -4.769 -9.038 N
-4.413 -12.959 -5.794 N
-2.929 -3.885 -3.649 N
-2.210 -10.414 -7.795 N
-0.757 -7.594 -0.076 N
-0.762 -5.512 -4.100 N
-4.197 -7.718 -0.384 N
-0.434 -4.806 -7.309 N
-9.117 -3.326 -4.452 N
-4.762 -1.637 -3.502 N
-1.673 -10.045 -1.197 N
-0.515 -10.495 -9.616 N
-7.474 -12.783 -9.215 N
-7.138 -2.412 -2.618 N
-6.411 -11.238 -6.565 N
0.855 -10.924 -1.276 N
-0.997 -2.723 -2.056 N
-8.370 -3.642 -9.482 N
-6.045 -10.302 -9.138 N
1.701 -10.735 -6.808 N
-7.740 -11.936 -3.868 N
-1.713 -0.822 -4.453 N
-2.555 -11.454 -5.116 N
-9.810 -2.988 -1.815 N
1.760 -8.205 -1.698 N
-4.087 -9.013 -6.084 N
-9.515 -4.342 -6.820 N
-2.548 -2.779 -6.799 N
-7.733 -8.625 -7.546 N
-0.599 -5.019 -0.542 N
-3.743 -2.385 -1.145 N
-6.966 -8.836 0.050 N
-4.229 -10.765 -2.931 N
-8.251 -6.125 -3.179 N
-3.683 -12.099 -9.497 N
-6.021 -8.593 -2.490 N
-0.225 -3.190 -5.019 N
-8.470 -6.362 -0.330 N
-5.589 -5.515 -2.291 N
-10.097 -5.854 -8.889 N
-4.482 -2.274 -9.254 N
-4.766 -7.627 -8.384 N
-1.942 -1.506 -9.991 N
-0.543 -9.380 -4.311 N
-3.821 -5.158 -6.232 N
-5.760 -4.061 -4.456 N
```

4.
Here is a geometry-optimized K5NaTi6Se27 structure from the Materials Project database. Energies are from PBE-GGA.

Results
**MP2020-corrected energy**: -5.004 eV per atom
**ΔH_f (0 K)**: -1.1930 eV per atom

Cell and atoms, written as POSCAR:
```
K5NaTi6Se27
1.0
-8.460 -0.026 10.680
6.287 -11.495 -3.739
10.746 3.106 8.519
K Se Na Ti
10 54 2 12
Cartesian
-0.755 -3.711 2.998 K
-1.354 -3.216 7.610 K
5.546 -1.221 13.081 K
5.089 -6.597 4.015 K
9.546 -6.056 2.461 K
6.405 -9.379 7.636 K
-3.836 -7.146 8.135 K
5.242 -2.644 6.646 K
-5.081 -0.412 7.251 K
8.934 -5.486 7.064 K
11.683 -2.877 8.091 Se
-3.009 -1.409 10.641 Se
7.851 -6.877 10.539 Se
8.111 -8.281 4.956 Se
4.045 -10.053 -0.805 Se
7.619 -0.337 5.586 Se
6.187 0.545 9.962 Se
-0.418 -8.997 4.439 Se
11.411 -3.287 4.965 Se
8.798 -9.100 1.212 Se
-1.078 0.695 7.664 Se
5.733 -8.025 10.768 Se
10.520 -8.907 8.138 Se
9.194 -1.600 6.921 Se
6.439 -8.799 1.449 Se
7.410 -3.529 10.100 Se
5.592 -4.839 12.676 Se
3.207 -6.084 10.408 Se
2.592 -8.238 6.096 Se
-0.769 -8.700 7.612 Se
0.218 -6.671 8.489 Se
3.619 0.266 7.573 Se
2.545 -0.039 14.769 Se
0.357 -0.421 3.174 Se
1.364 -3.712 0.264 Se
3.126 -8.954 8.313 Se
3.921 -3.424 2.665 Se
7.516 -3.962 4.131 Se
-2.978 -1.532 4.880 Se
1.617 -0.780 8.421 Se
-2.029 -5.849 5.257 Se
3.287 0.547 11.050 Se
2.417 -2.797 13.366 Se
-0.180 -2.318 11.248 Se
5.390 -5.887 7.516 Se
11.702 -8.601 3.449 Se
2.066 -4.363 9.160 Se
-2.264 -4.695 11.125 Se
4.680 -1.351 3.580 Se
10.170 -4.934 10.749 Se
4.117 -5.831 0.725 Se
12.515 -6.459 8.348 Se
11.983 -7.337 5.495 Se
-5.400 -1.032 10.658 Se
-4.841 -3.939 8.107 Se
1.819 -4.913 6.054 Se
3.664 -9.498 2.634 Se
0.954 -0.924 5.465 Se
-0.462 -0.816 13.115 Se
1.601 -6.164 4.020 Se
2.698 1.376 16.689 Se
8.311 1.557 9.543 Se
6.967 -6.209 14.070 Se
5.050 -3.114 10.161 Se
2.970 0.859 2.355 Na
8.343 2.412 6.614 Na
5.743 -5.572 10.017 Ti
-4.521 -3.441 10.583 Ti
10.374 -9.294 5.532 Ti
8.112 -4.757 12.351 Ti
0.150 -6.954 5.973 Ti
7.681 -10.105 3.241 Ti
3.393 -1.038 16.947 Ti
2.946 -6.471 7.889 Ti
-1.224 0.305 5.059 Ti
9.153 -2.034 4.426 Ti
6.825 2.620 11.285 Ti
6.331 -2.727 2.255 Ti
```

5.
Here is a geometry-optimized TaTe2Cl6 structure from the Materials Project database. Energies are from PBE-GGA.

Results
**MP2020-corrected energy**: -4.634 eV per atom
**ΔH_f (0 K)**: -1.3852 eV per atom

Cell and atoms, written as POSCAR:
```
TaTe2Cl6
1.0
7.162 0.000 0.000
0.843 7.622 0.000
2.898 1.954 11.311
Cl Ta Te
12 2 4
Cartesian
7.569 6.333 9.197 Cl
9.028 1.798 8.630 Cl
4.618 6.341 1.435 Cl
1.673 5.450 0.171 Cl
1.875 7.779 2.681 Cl
6.285 3.235 9.876 Cl
9.230 4.127 11.140 Cl
3.568 5.563 4.495 Cl
7.335 4.014 6.816 Cl
7.730 4.772 3.229 Cl
3.173 4.805 8.082 Cl
3.334 3.243 2.114 Cl
2.618 5.503 2.293 Ta
8.285 4.074 9.019 Ta
5.411 1.373 3.816 Te
3.505 2.162 5.604 Te
5.493 8.204 7.495 Te
7.398 7.414 5.707 Te
```

6.
Here is a geometry-optimized AgTeO3 structure from the Materials Project database. Energies are from PBE-GGA.

Results
**MP2020-corrected energy**: -5.292 eV per atom
**ΔH_f (0 K)**: -1.1280 eV per atom

Cell and atoms, written as POSCAR:
```
AgTeO3
1.0
-10.451 -1.845 5.220
-1.100 -4.538 -3.806
2.663 -8.518 2.319
O Ag Te
24 8 8
Cartesian
0.041 -11.095 -1.490 O
-2.703 -10.713 0.257 O
-5.589 -4.471 -0.496 O
-4.205 -7.467 4.688 O
-6.185 -4.190 3.476 O
0.091 -7.963 -1.509 O
-8.485 -6.147 0.697 O
-3.901 -5.674 2.584 O
-3.299 -10.431 4.229 O
-7.004 -8.829 5.710 O
-6.471 -11.382 4.850 O
-8.929 -3.807 5.223 O
-2.417 -3.520 -1.117 O
-1.884 -6.074 -1.977 O
-4.683 -7.435 -0.955 O
-6.451 -6.884 3.016 O
-1.547 -4.463 1.783 O
-7.341 -10.439 1.950 O
-4.987 -9.228 1.148 O
-8.979 -6.940 5.242 O
-2.437 -8.018 0.717 O
1.878 -9.148 1.522 O
-0.403 -8.756 3.036 O
-10.766 -5.754 2.211 O
-8.514 -5.372 3.204 Ag
-4.059 -2.696 0.429 Ag
-0.536 -6.568 0.494 Ag
-4.829 -12.207 3.304 Ag
-0.374 -9.531 0.529 Ag
-8.352 -8.335 3.239 Ag
-3.306 -5.554 0.170 Ag
-5.582 -9.348 3.563 Ag
-2.338 -8.014 3.850 Te
-8.858 -11.790 2.860 Te
-3.626 -9.008 -0.351 Te
-0.030 -3.112 0.873 Te
-5.262 -5.894 4.084 Te
-6.550 -6.888 -0.118 Te
0.353 -12.800 -0.514 Te
-9.241 -2.103 4.247 Te
```

7.
Here is a geometry-optimized LiCu2S3O12 structure from the Materials Project database. Energies are from PBE-GGA.

Results
**MP2020-corrected energy**: -6.172 eV per atom
**ΔH_f (0 K)**: -1.6225 eV per atom

Cell and atoms, written as POSCAR:
```
LiCu2S3O12
1.0
7.445 -4.300 0.000
7.445 4.300 0.000
4.962 0.000 7.021
O Li Cu S
24 2 4 6
Cartesian
10.785 -2.763 6.615 O
9.067 2.763 0.407 O
5.621 -0.853 3.610 O
10.585 0.853 0.099 O
11.913 -0.905 2.885 O
9.113 -3.402 4.261 O
11.025 -0.632 5.395 O
11.231 -2.549 1.366 O
12.903 -0.905 0.626 O
13.219 0.898 6.270 O
8.826 0.632 1.626 O
6.632 -0.898 0.751 O
13.712 -1.751 4.877 O
9.266 -0.853 6.922 O
8.620 2.549 5.655 O
14.230 0.853 3.411 O
7.939 0.905 4.136 O
8.304 -1.537 3.104 O
6.949 0.905 6.395 O
10.738 3.402 2.760 O
11.307 3.667 5.137 O
6.139 1.751 2.144 O
11.547 1.537 3.917 O
8.544 -3.667 1.884 O
9.926 0.000 3.511 Li
0.000 0.000 0.000 Li
16.968 0.000 6.001 Cu
2.883 0.000 1.020 Cu
12.809 0.000 4.530 Cu
7.043 0.000 2.491 Cu
7.444 1.755 5.266 S
10.659 -1.272 6.699 S
8.178 -3.027 3.188 S
11.673 3.027 3.833 S
9.192 1.272 0.322 S
12.408 -1.755 1.755 S
```

8.
Here is a geometry-optimized Cs2YTlCl6 structure from the Materials Project database. Energies are from PBE-GGA.

Results
**MP2020-corrected energy**: -4.489 eV per atom
**ΔH_f (0 K)**: -2.3179 eV per atom

Cell and atoms, written as POSCAR:
```
Cs2YTlCl6
1.0
3.872 3.104 6.441
-1.545 7.617 2.391
-4.052 1.346 6.920
Cl Tl Y Cs
6 1 1 2
Cartesian
1.694 4.452 7.101 Cl
-2.585 3.503 7.360 Cl
-3.419 7.615 8.651 Cl
0.859 8.564 8.392 Cl
-0.494 5.179 10.837 Cl
-1.231 6.888 4.915 Cl
-0.863 6.033 7.876 Tl
0.000 0.000 0.000 Y
-0.431 3.017 3.938 Cs
-1.294 9.050 11.814 Cs
```